(1)
Computed, not measured: an optimized crystal structure of KNaGdTaO5 at the PBE-GGA level of DFT.

Output
**Energy of formation**: -3.1204 eV per atom
**Theoretical density**: 5862 kg/m3
**Calculated total energy**: -155.5 eV for the cell shown
**SG**: P4/nmm (129)
**Total energy after the MP2020 corrections**: -162.38 eV per cell

a = 5.723 Å, b = 5.723 Å, c = 8.307 Å
α = 90.00°, β = 90.00°, γ = 90.00°
Fractional positions:
K: 0.250 0.750 0.000
K: 0.750 0.250 0.000
Na: 0.250 0.250 0.241
Na: 0.750 0.750 0.759
Gd: 0.250 0.750 0.500
Gd: 0.750 0.250 0.500
Ta: 0.250 0.250 0.739
Ta: 0.750 0.750 0.261
O: 0.018 0.018 0.667
O: 0.018 0.482 0.667
O: 0.250 0.250 0.963
O: 0.482 0.018 0.667
O: 0.482 0.482 0.667
O: 0.518 0.518 0.333
O: 0.518 0.982 0.333
O: 0.750 0.750 0.037
O: 0.982 0.518 0.333
O: 0.982 0.982 0.333



(2)
Computed, not measured: an optimized crystal structure of K2GdNb5O15 at the PBE-GGA level of DFT.

Output
**Energy of formation**: -2.8395 eV per atom
**Theoretical density**: 4840 kg/m3
**Calculated total energy**: -392.1 eV for the cell shown
**SG**: P4/mbm (127)
**Spin magnetization**: 0.043 μB/atom
**Total energy after the MP2020 corrections**: -412.66 eV per cell

a = 12.761 Å, b = 12.761 Å, c = 3.961 Å
α = 90.00°, β = 90.00°, γ = 90.00°
Fractional positions:
K: 0.170 0.330 0.000
K: 0.330 0.830 0.000
K: 0.670 0.170 0.000
K: 0.830 0.670 0.000
Gd: 0.000 0.000 0.000
Gd: 0.500 0.500 0.000
Nb: 0.000 0.500 0.500
Nb: 0.077 0.788 0.500
Nb: 0.212 0.077 0.500
Nb: 0.288 0.577 0.500
Nb: 0.423 0.288 0.500
Nb: 0.500 0.000 0.500
Nb: 0.577 0.712 0.500
Nb: 0.712 0.423 0.500
Nb: 0.788 0.923 0.500
Nb: 0.923 0.212 0.500
O: 0.000 0.500 0.000
O: 0.001 0.342 0.500
O: 0.058 0.131 0.500
O: 0.079 0.813 0.000
O: 0.131 0.942 0.500
O: 0.158 0.499 0.500
O: 0.187 0.079 0.000
O: 0.217 0.717 0.500
O: 0.283 0.217 0.500
O: 0.313 0.579 0.000
O: 0.342 0.999 0.500
O: 0.369 0.442 0.500
O: 0.421 0.313 0.000
O: 0.442 0.631 0.500
O: 0.499 0.842 0.500
O: 0.500 0.000 0.000
O: 0.501 0.158 0.500
O: 0.558 0.369 0.500
O: 0.579 0.687 0.000
O: 0.631 0.558 0.500
O: 0.658 0.001 0.500
O: 0.687 0.421 0.000
O: 0.717 0.783 0.500
O: 0.783 0.283 0.500
O: 0.813 0.921 0.000
O: 0.842 0.501 0.500
O: 0.869 0.058 0.500
O: 0.921 0.187 0.000
O: 0.942 0.869 0.500
O: 0.999 0.658 0.500



(3)
Computed, not measured: an optimized crystal structure of KGdO2 at the PBE-GGA level of DFT.

Output
**Energy of formation**: -3.0428 eV per atom
**Theoretical density**: 5554 kg/m3
**Calculated total energy**: -107.6 eV for the cell shown
**SG**: R-3m (166)
**Total energy after the MP2020 corrections**: -111.76 eV per cell

a = 3.543 Å, b = 3.543 Å, c = 18.842 Å
α = 90.00°, β = 90.00°, γ = 120.00°
Fractional positions:
K: 0.000 0.000 0.000
K: 0.333 0.667 0.667
K: 0.667 0.333 0.333
Gd: 0.000 0.000 0.500
Gd: 0.333 0.667 0.167
Gd: 0.667 0.333 0.833
O: 0.000 0.000 0.229
O: 0.000 0.000 0.771
O: 0.333 0.667 0.437
O: 0.333 0.667 0.896
O: 0.667 0.333 0.104
O: 0.667 0.333 0.563



(4)
Computed, not measured: an optimized crystal structure of KGdO3 at the PBE-GGA level of DFT.

Output
**Energy of formation**: -2.3211 eV per atom
**Theoretical density**: 4571 kg/m3
**Calculated total energy**: -39.6 eV for the cell shown
**SG**: Pm-3m (221)
**Spin magnetization**: 1.001 μB/atom
**Total energy after the MP2020 corrections**: -41.64 eV per cell

a = 4.461 Å, b = 4.461 Å, c = 4.461 Å
α = 90.00°, β = 90.00°, γ = 90.00°
Fractional positions:
K: 0.000 0.000 0.000
Gd: 0.500 0.500 0.500
O: 0.000 0.500 0.500
O: 0.500 0.000 0.500
O: 0.500 0.500 0.000



What is the formula in the fourth record?
KGdO3



What is the energy of formation in the fourth record?
-2.3211 eV per atom